# 1
Material: Ba2Eu2Ti2Cu2O11
Method: DFT, PBE-GGA
State: optimized geometry

The space group is P4/mmm (No. 123) and the conventional cell measures 3.925, 3.925 and 15.954 Å, with angles of 90.00, 90.00 and 90.00 degrees. The asymmetric unit holds Ba at (0.000, 0.000, 0.238), Eu at (0.000, 0.000, 0.000), Eu at (0.000, 0.000, 0.500), Ti at (0.500, 0.500, 0.375), Cu at (0.500, 0.500, 0.110), O at (0.000, 0.500, 0.096), O at (0.000, 0.500, 0.385), O at (0.500, 0.500, 0.257) and O at (0.500, 0.500, 0.500).

Its corrected total energy (MP2020 scheme) is -8.266 eV per atom. The calculation puts the size of the total moment at 0.6406 μB per atom. The value obtained for the formation energy is -2857 meV per atom.



# 2
Material: BaCuF4
Method: DFT, PBE-GGA
State: optimized geometry

The space group is Cmc2_1 (No. 36) and the conventional cell measures 4.369, 14.482 and 5.761 Å, with angles of 90.00, 90.00 and 90.00 degrees. The asymmetric unit holds Ba at (0.000, 0.142, 0.000), Cu at (0.000, 0.410, 0.033), F at (0.000, 0.079, 0.537), F at (0.000, 0.302, 0.240), F at (0.000, 0.330, 0.758) and F at (0.000, 0.477, 0.341).

Its corrected total energy (MP2020 scheme) is -5.277 eV per atom. The value obtained for the formation energy is -2998 meV per atom.